# 1
A relaxed structure of Nd2CoRuO6. Source: the Materials Project, functional PBE+U.

Results
symmetry: P2_1/c, No. 14
calculated formation energy: -2491 meV per atom
calculated volume: 123.9 Å³/f.u.
total DFT energy (no corrections): -149.5 eV/cell
magnetization: 2.75 Bohr magnetons per cell

Cell: 5.821 5.447 9.522 Å, 55.16 90.00 90.00°
Sites, in units of the cell vectors:
O  0.295  0.135  0.055
O  0.696  0.252  0.549
O  0.196  0.748  0.951
O  0.533  0.652  0.747
O  0.804  0.252  0.049
O  0.304  0.748  0.451
O  0.967  0.652  0.247
O  0.033  0.348  0.753
O  0.467  0.348  0.253
O  0.795  0.865  0.445
O  0.705  0.865  0.945
O  0.205  0.135  0.555
Nd  0.433  0.230  0.749
Nd  0.067  0.230  0.249
Nd  0.567  0.770  0.251
Nd  0.933  0.770  0.751
Co  0.000  0.500  0.500
Co  0.500  0.500  0.000
Ru  0.000  0.000  0.000
Ru  0.500  0.000  0.500

---

# 2
A relaxed structure of SrNdCoRuO6. Source: the Materials Project, functional PBE+U.

Results
symmetry: P2/c, No. 13
excess energy over the best structure of this formula in the dataset: 6 meV/atom
calculated formation energy: -2337 meV per atom
calculated volume: 122.5 Å³/f.u.
total DFT energy (no corrections): -280.5 eV/cell
magnetization: 16.00 Bohr magnetons per cell

Cell: 7.776 7.843 8.033 Å, 90.00 90.00 90.08°
Sites, in units of the cell vectors:
O  0.525  0.976  0.742
O  0.750  0.952  0.466
O  0.247  0.951  0.981
O  0.542  0.750  0.038
O  0.051  0.745  0.462
O  0.530  0.513  0.756
O  0.970  0.987  0.756
O  0.750  0.548  0.466
O  0.975  0.524  0.742
O  0.250  0.048  0.534
O  0.551  0.245  0.538
O  0.958  0.750  0.038
O  0.253  0.549  0.981
O  0.949  0.255  0.538
O  0.042  0.250  0.962
O  0.250  0.452  0.534
O  0.449  0.755  0.462
O  0.747  0.451  0.019
O  0.458  0.250  0.962
O  0.475  0.024  0.258
O  0.025  0.476  0.258
O  0.470  0.487  0.244
O  0.030  0.013  0.244
O  0.753  0.049  0.019
Ru  0.500  0.500  0.000
Ru  0.500  0.000  0.500
Ru  0.000  0.000  0.000
Ru  0.000  0.500  0.500
Nd  0.250  0.750  0.224
Nd  0.750  0.250  0.776
Nd  0.250  0.250  0.746
Nd  0.750  0.750  0.254
Co  0.500  0.500  0.500
Co  0.000  0.000  0.500
Co  0.500  0.000  0.000
Co  0.000  0.500  0.000
Sr  0.250  0.250  0.250
Sr  0.750  0.250  0.274
Sr  0.750  0.750  0.750
Sr  0.250  0.750  0.726

---

# 3
A relaxed structure of SrNdCoRuO6. Source: the Materials Project, functional PBE+U.

Results
symmetry: Pc, No. 7
excess energy over the best structure of this formula in the dataset: 0 meV/atom
calculated formation energy: -2342 meV per atom
calculated volume: 123.4 Å³/f.u.
total DFT energy (no corrections): -140.4 eV/cell
magnetization: 4.00 Bohr magnetons per cell

Cell: 5.633 5.549 9.660 Å, 54.83 90.00 90.00°
Sites, in units of the cell vectors:
Co  0.245  0.500  0.500
Co  0.755  0.500  0.000
Sr  0.787  0.244  0.750
Sr  0.213  0.244  0.250
Nd  0.304  0.762  0.751
Nd  0.696  0.762  0.251
O  0.469  0.242  0.038
O  0.273  0.689  0.246
O  0.046  0.751  0.956
O  0.531  0.242  0.538
O  0.727  0.689  0.746
O  0.954  0.751  0.456
O  0.957  0.152  0.046
O  0.528  0.823  0.960
O  0.238  0.336  0.754
O  0.043  0.152  0.546
O  0.762  0.336  0.254
O  0.472  0.823  0.460
Ru  0.752  0.000  0.500
Ru  0.248  0.000  0.000

---

# 4
A relaxed structure of Nd2CoTe2S2O14. Source: the Materials Project, functional PBE+U.

Results
symmetry: P-1, No. 2
calculated formation energy: -2325 meV per atom
calculated volume: 313.7 Å³/f.u.
total DFT energy (no corrections): -138.0 eV/cell
magnetization: 3.00 Bohr magnetons per cell

Cell: 5.417 8.087 8.342 Å, 115.64 107.26 86.44°
Sites, in units of the cell vectors:
O  0.179  0.920  0.911
O  0.281  0.189  0.741
O  0.252  0.569  0.110
O  0.499  0.721  0.778
O  0.719  0.811  0.259
O  0.821  0.080  0.089
O  0.119  0.778  0.574
O  0.074  0.597  0.737
O  0.926  0.403  0.263
O  0.881  0.222  0.426
O  0.752  0.076  0.661
O  0.501  0.279  0.222
O  0.248  0.924  0.339
O  0.748  0.431  0.890
Te  0.478  0.735  0.344
Te  0.522  0.265  0.656
Co  0.000  0.000  0.500
S  0.781  0.247  0.254
S  0.219  0.753  0.746
Nd  0.093  0.251  0.984
Nd  0.907  0.749  0.016

---

# 5
A relaxed structure of SrNdCoSbO6. Source: the Materials Project, functional PBE+U.

Results
symmetry: F-43m, No. 216
calculated formation energy: -2407 meV per atom
calculated volume: 128.4 Å³/f.u.
total DFT energy (no corrections): -65.7 eV/cell
magnetization: 3.00 Bohr magnetons per cell

Cell: 5.663 5.663 5.663 Å, 60.00 60.00 60.00°
Sites, in units of the cell vectors:
O  0.254  0.746  0.254
O  0.746  0.254  0.746
O  0.746  0.746  0.254
O  0.254  0.746  0.746
O  0.746  0.254  0.254
O  0.254  0.254  0.746
Sb  0.500  0.500  0.500
Co  0.000  0.000  0.000
Nd  0.750  0.750  0.750
Sr  0.250  0.250  0.250

---

# 6
A relaxed structure of NdSmCo4O12. Source: the Materials Project, functional PBE+U.

Results
symmetry: P4/mmm, No. 123
calculated formation energy: -1541 meV per atom
calculated volume: 210.7 Å³/f.u.
total DFT energy (no corrections): -110.2 eV/cell
magnetization: 14.35 Bohr magnetons per cell

Cell: 5.280 5.280 7.558 Å, 90.00 90.00 90.00°
Sites, in units of the cell vectors:
O  0.248  0.752  0.748
O  0.000  0.500  0.000
O  0.248  0.248  0.252
O  0.000  0.500  0.500
O  0.752  0.248  0.252
O  0.500  0.000  0.000
O  0.752  0.752  0.252
O  0.500  0.000  0.500
O  0.248  0.752  0.252
O  0.752  0.248  0.748
O  0.248  0.248  0.748
O  0.752  0.752  0.748
Co  0.500  0.000  0.749
Co  0.500  0.000  0.251
Co  0.000  0.500  0.749
Co  0.000  0.500  0.251
Sm  0.000  0.000  0.500
Nd  0.500  0.500  0.000

---

# 7
A relaxed structure of SrNdCo2O6. Source: the Materials Project, functional PBE+U.

Results
symmetry: Imm2, No. 44
calculated formation energy: -2177 meV per atom
calculated volume: 113.9 Å³/f.u.
total DFT energy (no corrections): -64.7 eV/cell
magnetization: 1.01 Bohr magnetons per cell

Cell: 5.433 5.433 5.433 Å, 120.04 119.28 90.59°
Sites, in units of the cell vectors:
O  0.523  0.523  0.484
O  0.452  0.000  0.452
O  0.069  0.500  0.569
O  0.960  0.960  0.484
O  0.960  0.477  0.000
O  0.523  0.040  0.000
Co  0.251  0.749  0.501
Co  0.752  0.251  0.501
Sr  0.999  0.000  0.999
Nd  0.509  0.500  0.009

---

# 8
A relaxed structure of SrNdCoO4. Source: the Materials Project, functional PBE+U.

Results
symmetry: I4mm, No. 107
excess energy over the best structure of this formula in the dataset: 0 meV/atom
calculated formation energy: -2710 meV per atom
calculated volume: 91.5 Å³/f.u.
total DFT energy (no corrections): -47.9 eV/cell
magnetization: 2.00 Bohr magnetons per cell

Cell: 6.820 6.820 6.820 Å, 147.45 147.45 46.70°
Sites, in units of the cell vectors:
O  0.992  0.492  0.500
O  0.492  0.992  0.500
O  0.837  0.837  0.000
O  0.173  0.173  0.000
Sr  0.643  0.643  0.000
Nd  0.361  0.361  0.000
Co  0.002  0.002  0.000